! NdInO3 (PBE-GGA, relaxed); values from VASP
&SYSTEM
  ibrav = 0, nat = 20, ntyp = 3
/
ATOMIC_SPECIES
Nd 144.24 Nd.upf
In 114.82 In.upf
O 16.00 O.upf
CELL_PARAMETERS angstrom
6.0038 0.0000 0.0000
0.0000 8.2404 0.0000
0.0000 0.0000 5.6817
ATOMIC_POSITIONS crystal
Nd 0.0628 0.2500 0.0178
Nd 0.4372 0.7500 0.5178
Nd 0.5628 0.2500 0.4822
Nd 0.9372 0.7500 0.9822
In 0.0000 0.0000 0.5000
In 0.0000 0.5000 0.5000
In 0.5000 0.0000 0.0000
In 0.5000 0.5000 0.0000
O 0.0580 0.7500 0.3731
O 0.1906 0.5640 0.8126
O 0.1906 0.9360 0.8126
O 0.3094 0.0640 0.3126
O 0.3094 0.4360 0.3126
O 0.4420 0.2500 0.8731
O 0.5580 0.7500 0.1269
O 0.6906 0.5640 0.6874
O 0.6906 0.9360 0.6874
O 0.8094 0.0640 0.1874
O 0.8094 0.4360 0.1874
O 0.9420 0.2500 0.6269
! * formation energy from the elements: -2.87 eV/atom
! * crystal system: orthorhombic

! NdInPd (PBE-GGA, relaxed); values from VASP
&SYSTEM
  ibrav = 0, nat = 9, ntyp = 3
/
ATOMIC_SPECIES
Nd 144.24 Nd.upf
In 114.82 In.upf
Pd 106.42 Pd.upf
CELL_PARAMETERS angstrom
7.8364 0.0000 0.0000
-3.9182 6.7865 0.0000
0.0000 0.0000 3.9998
ATOMIC_POSITIONS crystal
Nd 0.0000 0.4114 0.0000
Nd 0.4114 0.0000 0.0000
Nd 0.5886 0.5886 0.0000
In 0.0000 0.7465 0.5000
In 0.2535 0.2535 0.5000
In 0.7465 0.0000 0.5000
Pd 0.0000 0.0000 0.0000
Pd 0.3333 0.6667 0.5000
Pd 0.6667 0.3333 0.5000
! * formation energy from the elements: -0.78 eV/atom
! * crystal system: hexagonal

! NdInPd (PBE-GGA, relaxed); values from VASP
&SYSTEM
  ibrav = 0, nat = 9, ntyp = 3
/
ATOMIC_SPECIES
Nd 144.24 Nd.upf
In 114.82 In.upf
Pd 106.42 Pd.upf
CELL_PARAMETERS angstrom
8.1837 0.0000 0.0000
-4.0919 7.0873 0.0000
0.0000 0.0000 3.7794
ATOMIC_POSITIONS crystal
Nd 0.0000 0.7183 0.0000
Nd 0.2817 0.2817 0.0000
Nd 0.7183 0.0000 0.0000
In 0.0000 0.3831 0.5000
In 0.3831 0.0000 0.5000
In 0.6169 0.6169 0.5000
Pd 0.0000 0.0000 0.5000
Pd 0.3333 0.6667 0.0000
Pd 0.6667 0.3333 0.0000
! * formation energy from the elements: -0.53 eV/atom
! * crystal system: hexagonal

! NdIn2Pd (PBE-GGA, relaxed); values from VASP
&SYSTEM
  ibrav = 0, nat = 40, ntyp = 3
/
ATOMIC_SPECIES
Nd 144.24 Nd.upf
In 114.82 In.upf
Pd 106.42 Pd.upf
CELL_PARAMETERS angstrom
-7.0907 7.0907 4.6707
7.0907 -7.0907 4.6707
7.0907 7.0907 -4.6707
ATOMIC_POSITIONS crystal
Nd 0.0000 0.0000 0.0000
Nd 0.0828 0.0828 0.4037
Nd 0.0828 0.6791 0.0000
Nd 0.1117 0.3932 0.7186
Nd 0.3932 0.1117 0.7186
Nd 0.3932 0.6746 0.2814
Nd 0.4680 0.4680 0.0000
Nd 0.6746 0.3932 0.2814
Nd 0.6791 0.0828 0.0000
Nd 0.6791 0.6791 0.5963
In 0.0943 0.0943 0.7335
In 0.0943 0.3608 0.0000
In 0.2511 0.8693 0.3819
In 0.2707 0.4808 0.4922
In 0.2707 0.7785 0.7899
In 0.3608 0.0943 0.0000
In 0.3608 0.3608 0.2665
In 0.4808 0.2707 0.4922
In 0.4808 0.9886 0.2101
In 0.4874 0.8693 0.6181
In 0.5616 0.7249 0.8367
In 0.7249 0.5616 0.8367
In 0.7249 0.8882 0.1633
In 0.7785 0.2707 0.7899
In 0.7785 0.9886 0.5078
In 0.8693 0.2511 0.3819
In 0.8693 0.4874 0.6181
In 0.8882 0.7249 0.1633
In 0.9886 0.4808 0.2101
In 0.9886 0.7785 0.5078
Pd 0.0342 0.2500 0.2158
Pd 0.0342 0.8184 0.7842
Pd 0.1208 0.6208 0.5000
Pd 0.2500 0.0342 0.2158
Pd 0.3810 0.3810 0.6808
Pd 0.3810 0.7002 0.0000
Pd 0.6208 0.1208 0.5000
Pd 0.7002 0.3810 0.0000
Pd 0.7002 0.7002 0.3192
Pd 0.8184 0.0342 0.7842
! * formation energy from the elements: -0.65 eV/atom
! * crystal system: tetragonal

Taking the records one at a time from the top gives uncorrected energy values of -0.2549, -0.1843, -0.1751, -0.1658 Ha/atom.